Here is La3Hg after structural relaxation from the Materials Project database. Energies are from PBE-GGA.

Calculated values
As for the offset from the most stable computed form: 3 meV per atom. For the total energy, the calculation gives -3.96 eV per atom.

a = 6.352 Å, b = 6.352 Å, c = 6.352 Å
α = 134.45°, β = 134.45°, γ = 66.39°
Sites, in units of the cell vectors:
La 0.000 0.000 0.000
La 0.250 0.750 0.500
La 0.750 0.250 0.500
Hg 0.500 0.500 0.000



Here is KSnS2 after structural relaxation from the Materials Project database. Energies are from PBE-GGA.

Calculated values
For the total energy, the calculation gives -4.05 eV per atom. The total magnetization comes out at 0.284 μB/cell.

a = 7.825 Å, b = 7.825 Å, c = 7.825 Å
α = 29.83°, β = 29.83°, γ = 29.83°
Sites, in units of the cell vectors:
K 0.000 0.000 0.000
Sn 0.500 0.500 0.500
S 0.234 0.234 0.234
S 0.766 0.766 0.766



Here is MgZn after structural relaxation from the Materials Project database. Energies are from PBE-GGA.

Calculated values
For the total energy, the calculation gives -1.48 eV per atom. The total magnetization comes out at 0.000 μB/cell.

a = 4.378 Å, b = 5.244 Å, c = 5.244 Å
α = 109.42°, β = 90.00°, γ = 90.00°
Sites, in units of the cell vectors:
Mg 0.000 0.000 0.000
Mg 0.500 0.532 0.905
Mg 0.500 0.905 0.532
Zn 0.000 0.262 0.584
Zn 0.000 0.584 0.262
Zn 0.500 0.330 0.330



| no. | formation energy from the elements (meV per atom) | density (Mg/m³) |
| --- | --- | --- |
| 1 | -186 | 7.973 |
| 2 | -950 | 3.510 |
| 3 | -54 | 3.935 |